# 1
Entry from Materials Project: ErB6 after structural relaxation (r²SCAN).

Summary:
* crystal system: cubic
* space group: Pm-3m
* calculated formation energy: -0.420 eV per atom
* magnetic moment: 0.00 Bohr magnetons per cell

Cell lengths 4.0740, 4.0740, 4.0740 Å; angles 90.00, 90.00, 90.00 degrees
With the nearest neighbours (Å) after each atom.
Fractional coordinates of all 7 atoms:
Er1 0.0000 0.0000 0.0000  24 B 2.99
B1 0.1985 0.5000 0.5000  5 B 1.62-1.74
B2 0.5000 0.1985 0.5000  5 B 1.62-1.74
B3 0.5000 0.5000 0.1985  5 B 1.62-1.74
B4 0.5000 0.5000 0.8015  5 B 1.62-1.74
B5 0.5000 0.8015 0.5000  5 B 1.62-1.74
B6 0.8015 0.5000 0.5000  5 B 1.62-1.74


# 2
Entry from Materials Project: NdSm3Sb3 after structural relaxation (r²SCAN).

Summary:
* crystal system: monoclinic
* space group: Cc
* calculated formation energy: -1.230 eV per atom
* magnetic moment: 0.01 Bohr magnetons per cell

Cell lengths 8.1596, 8.1596, 8.1459 Å; angles 109.47, 109.47, 109.54 degrees
With the nearest neighbours (Å) after each atom.
Fractional coordinates of all 14 atoms:
Nd1 0.0702 0.9298 0.5000  6 Sb 3.15-3.41
Nd2 0.9298 0.0702 0.0000  6 Sb 3.15-3.41
Sm1 0.0707 0.4288 0.4996  6 Sb 3.12-3.40
Sm2 0.2110 0.7120 0.1420  6 Sb 3.12-3.40
Sm3 0.4288 0.0707 0.9996  6 Sb 3.12-3.40
Sm4 0.5714 0.5718 0.3598  6 Sb 3.12-3.39
Sm5 0.5718 0.5714 0.8598  6 Sb 3.12-3.39
Sm6 0.7120 0.2110 0.6420  6 Sb 3.12-3.40
Sb1 0.1986 0.3255 0.8771  6 Sm 3.12-3.40, 2 Nd 3.15
Sb2 0.3255 0.1986 0.3771  6 Sm 3.12-3.40, 2 Nd 3.15
Sb3 0.4451 0.8193 0.6246  6 Sm 3.12-3.39, 2 Nd 3.40
Sb4 0.6921 0.9455 0.2492  6 Sm 3.12-3.40, 2 Nd 3.15-3.41
Sb5 0.8193 0.4451 0.1246  6 Sm 3.12-3.39, 2 Nd 3.40
Sb6 0.9455 0.6921 0.7492  6 Sm 3.12-3.40, 2 Nd 3.15-3.41


Question: Which of these has the lowest magnetic moment?
Answer: ErB6


Question: Which of these has the highest calculated formation energy?
Answer: ErB6